[1]
TiAl2 | GGA-PBE | optimized geometry

Unit cell a=3.9689 b=3.9689 c=12.4622 alpha=99.16 beta=99.16 gamma=90.00
Atoms (fractional coordinates):
1 Ti 0.1722 0.6722 0.3444
2 Ti 0.3278 0.8278 0.6556
3 Ti 0.0778 0.0778 0.1556
4 Ti 0.9222 0.9222 0.8444
5 Al 0.8366 0.3366 0.6732
6 Al 0.4134 0.4134 0.8268
7 Al 0.5002 0.0002 0.0005
8 Al 0.6634 0.1634 0.3268
9 Al 0.7498 0.7498 0.4995
10 Al 0.2502 0.2502 0.5005
11 Al 0.9998 0.4998 0.9995
12 Al 0.5866 0.5866 0.1732

[2]
La2ZnHg | GGA-PBE | optimized geometry

**Energy relative to the lowest polymorph listed for this composition**: 0 meV/atom

Unit cell a=5.4442 b=5.4442 c=5.4442 alpha=60.00 beta=60.00 gamma=60.00
Atoms (fractional coordinates):
1 Zn 0.0000 0.0000 0.0000
2 La 0.7500 0.7500 0.7500
3 La 0.2500 0.2500 0.2500
4 Hg 0.5000 0.5000 0.5000

[3]
Mg14ZrMo | GGA-PBE | optimized geometry

**Energy relative to the lowest polymorph listed for this composition**: 0 meV/atom
**Total magnetization**: 0.0 μB/f.u.

Unit cell a=6.3843 b=6.1482 c=10.1365 alpha=90.00 beta=90.00 gamma=118.78
Atoms (fractional coordinates):
1 Mg 0.8417 0.1709 0.3769
2 Mg 0.8504 0.6752 0.8870
3 Mg 0.1667 0.3334 0.6250
4 Mg 0.6586 0.8330 0.1250
5 Mg 0.6586 0.3256 0.1250
6 Mg 0.8417 0.1709 0.8731
7 Mg 0.3311 0.6717 0.8819
8 Mg 0.3311 0.6717 0.3681
9 Mg 0.1635 0.8318 0.6250
10 Mg 0.6638 0.3337 0.6250
11 Mg 0.8504 0.6752 0.3630
12 Mg 0.6638 0.8301 0.6250
13 Mg 0.3311 0.1594 0.8819
14 Mg 0.3311 0.1594 0.3681
15 Zr 0.1581 0.3290 0.1250
16 Mo 0.1582 0.8291 0.1250

[4]
Sm2B4O9 | GGA-PBE | optimized geometry

**Energy relative to the lowest polymorph listed for this composition**: 15 meV/atom
**Total magnetization**: 0.0 μB/f.u.

Unit cell a=4.4844 b=13.0481 c=25.1604 alpha=99.73 beta=90.02 gamma=99.89
Atoms (fractional coordinates):
1 O 0.6196 0.8083 0.7532
2 O 0.1529 0.2861 0.3637
3 O 0.3032 0.2599 0.6085
4 O 0.6281 0.8707 0.6692
5 O 0.6582 0.4480 0.4867
6 O 0.1816 0.4252 0.8138
7 O 0.6830 0.1270 0.4778
8 O 0.1910 0.8096 0.2544
9 O 0.3736 0.1303 0.3304
10 O 0.6919 0.4617 0.2570
11 O 0.5547 0.8733 0.0221
12 O 0.9728 0.2366 0.1994
13 O 0.0295 0.7639 0.8002
14 O 0.7120 0.0403 0.0846
15 O 0.2775 0.6051 0.1332
16 O 0.2218 0.7268 0.3347
17 O 0.7522 0.1304 0.8305
18 O 0.7741 0.9065 0.8403
19 O 0.2420 0.4251 0.3137
20 O 0.0437 0.7854 0.9844
21 O 0.3809 0.1908 0.2458
22 O 0.2815 0.9591 0.9146
23 O 0.4980 0.2706 0.1643
24 O 0.8026 0.5418 0.0817
25 O 0.1881 0.7839 0.0733
26 O 0.2223 0.0927 0.1588
27 O 0.6861 0.9997 0.7500
28 O 0.7664 0.4625 0.7580
29 O 0.7331 0.7635 0.3006
30 O 0.7868 0.4484 0.9861
31 O 0.8048 0.8963 0.2262
32 O 0.3126 0.9997 0.2497
33 O 0.2140 0.5521 0.0133
34 O 0.2617 0.2378 0.6998
35 O 0.9578 0.2604 0.1085
36 O 0.7472 0.3061 0.5552
37 O 0.2586 0.2150 0.5153
38 O 0.7925 0.8744 0.1111
39 O 0.9206 0.6029 0.9443
40 O 0.9036 0.0519 0.9567
41 O 0.9385 0.4075 0.1729
42 O 0.5913 0.7847 0.5737
43 O 0.4444 0.6951 0.9442
44 O 0.5576 0.3054 0.0553
45 O 0.0619 0.5933 0.8271
46 O 0.4398 0.1254 0.9777
47 O 0.6909 0.7404 0.3917
48 O 0.7387 0.7844 0.4849
49 O 0.3259 0.6058 0.6332
50 O 0.9534 0.2136 0.0152
51 O 0.1449 0.0536 0.4572
52 O 0.8548 0.9466 0.5425
53 O 0.2561 0.4576 0.4186
54 O 0.1301 0.9060 0.3413
55 O 0.4705 0.4075 0.6728
56 O 0.3168 0.8733 0.5217
57 O 0.6709 0.3947 0.3675
58 O 0.9203 0.1253 0.3887
59 O 0.8051 0.2149 0.9264
60 O 0.9082 0.1034 0.2737
61 O 0.8048 0.1902 0.7457
62 O 0.4063 0.2156 0.4262
63 O 0.0920 0.8967 0.7264
64 O 0.6810 0.6023 0.4450
65 O 0.7209 0.3940 0.8675
66 O 0.1922 0.1042 0.7740
67 O 0.6739 0.9599 0.4151
68 O 0.5044 0.7279 0.8344
69 O 0.1290 0.2856 0.8638
70 O 0.8708 0.0930 0.6589
71 O 0.1992 0.4575 0.9180
72 O 0.2011 0.1252 0.8889
73 O 0.3046 0.5378 0.7426
74 O 0.7394 0.5420 0.5823
75 O 0.8441 0.7140 0.6363
76 O 0.7563 0.5753 0.6869
77 O 0.8178 0.5755 0.1865
78 O 0.7713 0.2703 0.6643
79 O 0.0828 0.3970 0.0545
80 O 0.2483 0.6940 0.4449
81 O 0.0488 0.7417 0.8913
82 O 0.3262 0.0397 0.5848
83 O 0.2316 0.5386 0.2427
84 O 0.2424 0.8684 0.1694
85 O 0.3138 0.3975 0.5554
86 O 0.0908 0.9469 0.0432
87 O 0.8657 0.7134 0.1360
88 O 0.5319 0.5927 0.3271
89 O 0.3377 0.5527 0.5142
90 O 0.0798 0.8733 0.6105
91 Sm 0.5336 0.7181 0.2082
92 Sm 0.9908 0.5696 0.3708
93 Sm 0.5774 0.5688 0.8696
94 Sm 0.2619 0.1284 0.0706
95 Sm 0.3418 0.0241 0.6783
96 Sm 0.6570 0.9748 0.3210
97 Sm 0.8159 0.2816 0.2919
98 Sm 0.8650 0.1283 0.5704
99 Sm 0.0755 0.6909 0.5404
100 Sm 0.0065 0.4303 0.6298
101 Sm 0.6802 0.0235 0.1780
102 Sm 0.4638 0.2816 0.7922
103 Sm 0.7351 0.8715 0.9287
104 Sm 0.9207 0.3102 0.4595
105 Sm 0.1291 0.8724 0.4298
106 Sm 0.3859 0.3092 0.9603
107 Sm 0.4230 0.4307 0.1299
108 Sm 0.6181 0.6904 0.0388
109 Sm 0.3160 0.9758 0.8212
110 Sm 0.1803 0.7177 0.7083
111 B 0.0737 0.8025 0.3087
112 B 0.1346 0.7055 0.9413
113 B 0.7825 0.9379 0.0657
114 B 0.4515 0.2904 0.6624
115 B 0.5439 0.7094 0.3377
116 B 0.9566 0.1834 0.8761
117 B 0.4242 0.5034 0.2819
118 B 0.0367 0.8155 0.1239
119 B 0.2262 0.8528 0.0312
120 B 0.5682 0.7045 0.4418
121 B 0.3580 0.3913 0.3666
122 B 0.0336 0.5160 0.9609
123 B 0.1533 0.9373 0.5653
124 B 0.7686 0.1462 0.9689
125 B 0.7278 0.8028 0.8078
126 B 0.9685 0.6089 0.1335
127 B 0.8462 0.0624 0.4340
128 B 0.7747 0.8960 0.7248
129 B 0.7762 0.8163 0.6238
130 B 0.2228 0.1835 0.3758
131 B 0.0785 0.5034 0.7820
132 B 0.3744 0.1474 0.4689
133 B 0.2722 0.1966 0.1913
134 B 0.2114 0.0616 0.9340
135 B 0.8752 0.1039 0.7749
136 B 0.4808 0.5163 0.4617
137 B 0.0299 0.3907 0.8668
138 B 0.5754 0.4971 0.7183
139 B 0.9679 0.4839 0.0385
140 B 0.9226 0.1967 0.6914
141 B 0.6239 0.8524 0.5308
142 B 0.9210 0.4973 0.2181
143 B 0.5153 0.4843 0.5391
144 B 0.8672 0.2948 0.0581
145 B 0.2253 0.1039 0.2747
146 B 0.1649 0.7102 0.8374
147 B 0.6390 0.6091 0.6338
148 B 0.8376 0.2902 0.1622
149 B 0.4276 0.2954 0.5582
150 B 0.1214 0.8956 0.2250

[5]
ThBi | GGA-PBE | optimized geometry

Unit cell a=3.9452 b=3.9452 c=3.9452 alpha=90.00 beta=90.00 gamma=90.00
Atoms (fractional coordinates):
1 Th 0.5000 0.5000 0.5000
2 Bi 0.0000 0.0000 0.0000

[6]
CaTcO3 | GGA-PBE | optimized geometry

**Total magnetization**: 0.0 μB/f.u.

Unit cell a=3.9379 b=3.9379 c=3.9387 alpha=89.86 beta=89.86 gamma=89.88
Atoms (fractional coordinates):
1 O 0.4970 0.9984 0.4834
2 O 0.5008 0.5008 0.9863
3 O 0.9984 0.4970 0.4834
4 Tc 0.4982 0.4982 0.4868
5 Ca 0.9951 0.9951 0.9983

[7]
Cs3ErCl6 | GGA-PBE | optimized geometry

**Energy relative to the lowest polymorph listed for this composition**: 44 meV/atom
**Total magnetization**: 0.0 μB/f.u.

Unit cell a=8.3491 b=8.3491 c=8.3491 alpha=60.00 beta=60.00 gamma=60.00
Atoms (fractional coordinates):
1 Cl 0.2218 0.7782 0.2218
2 Cl 0.7782 0.2218 0.2218
3 Cl 0.2218 0.7782 0.7782
4 Cl 0.7782 0.2218 0.7782
5 Cl 0.2218 0.2218 0.7782
6 Cl 0.7782 0.7782 0.2218
7 Cs 0.7500 0.7500 0.7500
8 Cs 0.5000 0.5000 0.5000
9 Cs 0.2500 0.2500 0.2500
10 Er 0.0000 0.0000 0.0000

[8]
Ba2TlZn | GGA-PBE | optimized geometry

Unit cell a=5.9731 b=5.9731 c=5.9731 alpha=60.00 beta=60.00 gamma=60.00
Atoms (fractional coordinates):
1 Zn 0.0000 0.0000 0.0000
2 Ba 0.7500 0.7500 0.7500
3 Ba 0.2500 0.2500 0.2500
4 Tl 0.5000 0.5000 0.5000

Number 1: formation energy from the elements -1.29 eV/f.u.. Number 2: formation energy from the elements -1.57 eV/f.u.. Number 3: formation energy from the elements 1.58 eV/f.u.. Number 4: formation energy from the elements -48.91 eV/f.u.. Number 5: formation energy from the elements -1.07 eV/f.u.. Number 6: formation energy from the elements -11.83 eV/f.u.. Number 7: formation energy from the elements -24.88 eV/f.u.. Number 8: formation energy from the elements -1.18 eV/f.u..